## SmZn5 (r2SCAN)

Data for SmZn5 after structural relaxation.

Computed properties:
As for the total magnetic moment: 0.0 μB per cell. The value obtained for the total energy is -76.4 eV per formula unit. The value obtained for the volume is 16.95 Å³ per atom.

Cell: 5.290 5.290 4.197 Å, 90.00 90.00 120.00°
Fractional positions:
Sm1 0.000 0.000 0.000
Zn1 0.000 0.500 0.500
Zn2 0.333 0.667 0.000
Zn3 0.500 0.000 0.500
Zn4 0.500 0.500 0.500
Zn5 0.667 0.333 0.000